# 1
A plane-wave DFT calculation with PBE with a Hubbard U was carried out for a geometry-optimized VOF2 structure.

Cell lengths 3.1029, 3.6332, 9.4080 Å; angles 90.00, 89.25, 90.00 degrees
Closest atoms and distances in Å follow each position.
Sites, in units of the cell vectors:
V 0.5000 0.5000 0.5000  2 O 1.82, 4 F 2.00
V 0.0000 0.0000 0.0000  2 O 1.82, 4 F 1.99
O 0.0000 0.5000 0.0000  2 V 1.82
O 0.5000 0.0000 0.5000  2 V 1.82
F 0.4947 0.0000 0.1333  2 V 1.99
F 0.9947 0.5000 0.6334  2 V 2.00
F 0.0053 0.5000 0.3666  2 V 2.00
F 0.5053 0.0000 0.8667  2 V 1.99

Properties
Total moment in μB/atom: 0.00
ΔE_f in eV/atom: -2.781



# 2
A plane-wave DFT calculation with PBE with a Hubbard U was carried out for a geometry-optimized V6O5F19 structure.

Cell lengths 5.3784, 5.6231, 14.8314 Å; angles 100.38, 89.58, 93.35 degrees
Closest atoms and distances in Å follow each position.
Sites, in units of the cell vectors:
V 0.0404 0.9417 0.9959  1 O 1.64, 2 F 1.76-1.77
V 0.5436 0.7995 0.6706  1 O 1.61, 2 F 1.77
V 0.9678 0.7351 0.3372  1 O 1.64, 3 F 1.77-1.83
V 0.5100 0.4857 0.0012  4 F 1.77-1.97
V 0.0347 0.2882 0.6627  1 O 1.61, 2 F 1.77
V 0.5153 0.2242 0.3346  1 O 1.65, 3 F 1.77-1.79
O 0.7944 0.9701 0.3583  1 V 1.64
O 0.7712 0.6396 0.6892  1 V 1.61
O 0.7061 0.4694 0.3560  1 V 1.65
O 0.2107 0.7054 0.9768  1 V 1.64
O 0.2037 0.0564 0.6441  1 V 1.61
F 0.7268 0.7917 0.0229  2 V 1.91-2.00
F 0.2722 0.8642 0.3096  1 V 1.83
F 0.9156 0.9707 0.8888  1 V 1.77
F 0.5629 0.8088 0.5520  1 V 1.77
F 0.9126 0.6039 0.2210  1 V 1.77
F 0.4029 0.8816 0.7794  1 V 1.77
F 0.0711 0.6882 0.4456  1 V 1.77
F 0.3996 0.5548 0.1150  1 V 1.77
F 0.7785 0.3233 0.0247  1 V 1.82
F 0.2874 0.5361 0.6398  2 V 1.96
F 0.2343 0.3496 0.3068  1 V 1.79
F 0.5589 0.4691 0.8820  1 V 1.77
F 0.9032 0.2960 0.5541  1 V 1.77
F 0.5881 0.0943 0.2207  1 V 1.77
F 0.0707 0.4049 0.7812  1 V 1.77
F 0.4258 0.1851 0.4463  1 V 1.77
F 0.0704 0.0603 0.1136  1 V 1.76
F 0.7248 0.1187 0.6932  2 V 1.96-1.97
F 0.2962 0.1835 0.9766  2 V 1.93-1.97

Properties
Total moment in μB/atom: 0.03
ΔE_f in eV/atom: -2.735
E above lowest polymorph in eV/atom: 0.004



# 3
A plane-wave DFT calculation with PBE with a Hubbard U was carried out for a geometry-optimized V6O5F19 structure.

Cell lengths 5.3165, 5.5302, 14.9089 Å; angles 79.65, 89.83, 89.09 degrees
Closest atoms and distances in Å follow each position.
Sites, in units of the cell vectors:
V 0.9659 0.9597 0.0036  1 O 1.62, 2 F 1.77-1.78
V 0.4796 0.8895 0.3314  1 O 1.66, 3 F 1.77-1.80
V 0.9954 0.6863 0.6667  4 F 1.77-1.97
V 0.4582 0.4701 0.9963  1 O 1.61, 2 F 1.77-1.78
V 0.0265 0.3942 0.3304  1 O 1.65, 3 F 1.77-1.82
V 0.4783 0.2107 0.6645  1 O 1.65, 2 F 1.77
O 0.2071 0.6375 0.3088  1 V 1.65
O 0.2958 0.4578 0.6448  1 V 1.65
O 0.2262 0.3000 0.9794  1 V 1.61
O 0.7908 0.7196 0.0210  1 V 1.62
O 0.2934 0.1365 0.3100  1 V 1.66
F 0.2051 0.9805 0.6427  2 V 1.97-2.01
F 0.2767 0.7865 0.9737  2 V 1.96-1.99
F 0.7076 0.8612 0.6895  1 V 1.86
F 0.0965 0.9576 0.1132  1 V 1.78
F 0.4125 0.7637 0.4466  1 V 1.77
F 0.0917 0.6159 0.7820  1 V 1.77
F 0.5817 0.8556 0.2211  1 V 1.77
F 0.9313 0.6946 0.5500  1 V 1.77
F 0.5981 0.5442 0.8868  1 V 1.77
F 0.7270 0.5251 0.3579  1 V 1.82
F 0.7775 0.3701 0.6905  2 V 1.91-2.09
F 0.4373 0.4739 0.1149  1 V 1.78
F 0.0864 0.2686 0.4463  1 V 1.77
F 0.4266 0.0996 0.7817  1 V 1.77
F 0.9239 0.3540 0.2211  1 V 1.77
F 0.5876 0.1919 0.5536  1 V 1.77
F 0.9314 0.0715 0.8852  1 V 1.77
F 0.7134 0.2025 0.0268  2 V 1.96-1.98
F 0.7704 0.0209 0.3596  1 V 1.80

Properties
Total moment in μB/atom: 0.03
ΔE_f in eV/atom: -2.732
E above lowest polymorph in eV/atom: 0.007



# 4
A plane-wave DFT calculation with PBE with a Hubbard U was carried out for a geometry-optimized V2OF5 structure.

Cell lengths 9.0625, 5.4219, 7.5942 Å; angles 87.10, 66.14, 105.89 degrees
Closest atoms and distances in Å follow each position.
Sites, in units of the cell vectors:
V 0.0041 0.9997 0.9987  5 F 1.96-1.98, 1 O 1.96
V 0.9928 0.9673 0.5081  1 O 1.68
V 0.3400 0.6372 0.3354  1 O 1.68
V 0.3180 0.6805 0.8458  1 O 1.68
V 0.6625 0.3309 0.1710  5 F 1.95-1.98, 1 O 1.97
V 0.6692 0.3439 0.6674  5 F 1.96-2.00, 1 O 1.98
O 0.1480 0.7765 0.9650  1 V 1.68
O 0.4646 0.4497 0.3068  1 V 1.68
O 0.8669 0.6578 0.6063  1 V 1.68
F 0.2021 0.8871 0.3534  2 V 1.97-2.06
F 0.3976 0.7030 0.0518  2 V 1.97-1.99
F 0.1307 0.3533 0.3885  2 V 1.96-2.06
F 0.5297 0.9654 0.2855  2 V 1.95-2.00
F 0.2658 0.6295 0.6167  2 V 1.96-1.99
F 0.0682 0.0390 0.7139  2 V 1.96-1.98
F 0.8018 0.6992 0.0490  2 V 1.97-1.98
F 0.2015 0.3042 0.9506  2 V 1.96-1.97
F 0.9378 0.9743 0.2816  2 V 1.97-1.98
F 0.5232 0.5629 0.6925  2 V 1.97-2.05
F 0.8661 0.2309 0.0189  2 V 1.97-1.98
F 0.7322 0.3691 0.3845  2 V 1.96-1.97
F 0.4719 0.0295 0.7125  2 V 1.94-2.00
F 0.6009 0.2986 0.9497  2 V 1.96-1.98
F 0.8042 0.1104 0.6466  2 V 1.96-2.00

Properties
ΔE_f in eV/atom: -3.037
E above lowest polymorph in eV/atom: 0.008



# 5
A plane-wave DFT calculation with PBE with a Hubbard U was carried out for a geometry-optimized V2OF5 structure.

Cell lengths 5.2299, 5.4384, 5.2645 Å; angles 118.79, 119.24, 90.87 degrees
Closest atoms and distances in Å follow each position.
Sites, in units of the cell vectors:
V 0.6859 0.9941 0.3253  1 O 1.68
V 0.1573 0.4723 0.3175  5 F 1.97-1.99, 1 O 1.97
O 0.9707 0.2186 0.3939  1 V 1.68
F 0.3341 0.7333 0.2377  2 V 1.99-2.02
F 0.3905 0.2055 0.2034  2 V 1.97-1.98
F 0.5039 0.7109 0.8193  2 V 1.97-1.98
F 0.9123 0.7318 0.4221  2 V 1.96-1.98
F 0.8064 0.2287 0.8141  2 V 1.97-1.98

Properties
ΔE_f in eV/atom: -3.043
E above lowest polymorph in eV/atom: 0.002



# 6
A plane-wave DFT calculation with PBE with a Hubbard U was carried out for a geometry-optimized V2OF5 structure.

Cell lengths 5.2825, 13.5084, 5.2812 Å; angles 89.98, 59.89, 89.96 degrees
Closest atoms and distances in Å follow each position.
Sites, in units of the cell vectors:
V 0.0039 0.0069 0.9699  1 O 1.68
V 0.3601 0.3401 0.3366  1 O 1.68
V 0.6820 0.1661 0.6653  5 F 1.96-2.00, 1 O 1.97
V 0.9879 0.4998 0.0132  5 F 1.97-1.99, 1 O 2.00
V 0.3337 0.8327 0.3169  5 F 1.96-2.01, 1 O 1.97
V 0.6388 0.6734 0.6919  1 O 1.68
O 0.4282 0.7474 0.9774  1 V 1.68
O 0.6429 0.4143 0.2636  1 V 1.68
O 0.9262 0.0817 0.7634  1 V 1.68
F 0.5877 0.2488 0.0090  2 V 1.97
F 0.6755 0.9154 0.0690  2 V 1.96-1.98
F 0.7355 0.5820 0.9222  2 V 1.97
F 0.5908 0.7479 0.3997  2 V 1.96-1.99
F 0.2446 0.4144 0.0887  2 V 1.97
F 0.7522 0.0806 0.3363  2 V 1.96-1.98
F 0.0021 0.7485 0.5785  2 V 1.96-1.98
F 0.3431 0.0808 0.9247  2 V 1.96-1.99
F 0.0655 0.4136 0.6764  2 V 1.96-1.99
F 0.0817 0.9192 0.2382  2 V 1.96-2.04
F 0.9059 0.5863 0.3462  2 V 1.97-2.03
F 0.4082 0.2490 0.5964  2 V 1.95-2.00
F 0.3286 0.5828 0.7408  2 V 1.96-1.99
F 0.0130 0.2525 0.4140  2 V 1.96-2.04
F 0.2618 0.9157 0.6619  2 V 1.95-2.01

Properties
ΔE_f in eV/atom: -3.043
E above lowest polymorph in eV/atom: 0.001



# 7
A plane-wave DFT calculation with PBE with a Hubbard U was carried out for a geometry-optimized VOF3 structure.

Cell lengths 5.4003, 5.5208, 5.5838 Å; angles 60.91, 90.00, 90.00 degrees
Closest atoms and distances in Å follow each position.
Sites, in units of the cell vectors:
V 0.0515 0.2759 0.7052  1 O 1.65, 3 F 1.76-1.80
V 0.5515 0.7241 0.2948  1 O 1.65, 3 F 1.76-1.80
O 0.2200 0.4921 0.4393  1 V 1.65
O 0.7200 0.5079 0.5607  1 V 1.65
F 0.8969 0.0602 0.6009  1 V 1.77
F 0.2790 0.0188 0.9043  1 V 1.80
F 0.3969 0.9398 0.3991  1 V 1.77
F 0.5526 0.5751 0.0779  1 V 1.76
F 0.0526 0.4249 0.9221  1 V 1.76
F 0.7790 0.9812 0.0957  1 V 1.80

Properties
Total moment in μB/atom: 0.00
ΔE_f in eV/atom: -2.690
Largest piezoelectric modulus in C/m²: 1.48



- What is the ΔE_f in the sixth record?
  -3.043 eV/atom



- Look up the ΔE_f of the seventh one.
  -2.690 eV/atom